[1]
A geometry-optimized CoPO4 structure. Source: the Materials Project, functional PBE+U.

Cell: 7.4414 7.4414 9.3727 Å, 90.00 90.00 120.00°
Fractional coordinates of all 36 atoms:
1 Co 0.0638 0.4428 0.0000
2 Co 0.3790 0.9362 0.0000
3 Co 0.4428 0.0638 0.5000
4 Co 0.5572 0.6210 0.0000
5 Co 0.6210 0.5572 0.5000
6 Co 0.9362 0.3790 0.5000
7 P 0.0000 0.0000 0.0540
8 P 0.0000 0.0000 0.5540
9 P 0.3333 0.6667 0.3147
10 P 0.3333 0.6667 0.7014
11 P 0.6667 0.3333 0.2014
12 P 0.6667 0.3333 0.8147
13 O 0.0000 0.0000 0.2128
14 O 0.0000 0.0000 0.7128
15 O 0.1084 0.5812 0.3675
16 O 0.1098 0.2257 0.9899
17 O 0.1160 0.8902 0.9899
18 O 0.1293 0.4799 0.6534
19 O 0.2257 0.1098 0.4899
20 O 0.3333 0.6667 0.1444
21 O 0.3333 0.6667 0.8738
22 O 0.3506 0.8707 0.6534
23 O 0.4188 0.5272 0.3675
24 O 0.4728 0.8916 0.3675
25 O 0.4799 0.1293 0.1534
26 O 0.5201 0.6494 0.6534
27 O 0.5272 0.4188 0.8675
28 O 0.5812 0.1084 0.8675
29 O 0.6494 0.5201 0.1534
30 O 0.6667 0.3333 0.3738
31 O 0.6667 0.3333 0.6444
32 O 0.7743 0.8840 0.9899
33 O 0.8707 0.3506 0.1534
34 O 0.8840 0.7743 0.4899
35 O 0.8902 0.1160 0.4899
36 O 0.8916 0.4728 0.8675

Values from the calculation:
DFT formation energy = -1.97 eV per atom
VASP energy = -6.623 eV per atom
Symmetry = P31c (159)

=====

[2]
A geometry-optimized Na3CrPCO7 structure. Source: the Materials Project, functional PBE+U.

Cell: 5.3564 6.5807 9.1629 Å, 90.00 90.97 90.00°
Fractional coordinates of all 26 atoms:
1 Na 0.0042 0.0000 0.0044
2 Na 0.4453 0.7264 0.1752
3 Na 0.4944 0.0168 0.4866
4 Na 0.5056 0.5168 0.5134
5 Na 0.5547 0.2264 0.8248
6 Na 0.9958 0.5000 0.9956
7 Cr 0.0378 0.2579 0.2909
8 Cr 0.9622 0.7579 0.7091
9 P 0.0134 0.2570 0.6484
10 P 0.9866 0.7570 0.3516
11 C 0.4980 0.7556 0.8626
12 C 0.5020 0.2556 0.1374
13 O 0.0614 0.5688 0.2560
14 O 0.0747 0.9455 0.2604
15 O 0.1368 0.7533 0.4981
16 O 0.2634 0.7518 0.9004
17 O 0.2969 0.2591 0.6248
18 O 0.3272 0.2536 0.0368
19 O 0.4440 0.2643 0.2741
20 O 0.5560 0.7643 0.7259
21 O 0.6728 0.7536 0.9632
22 O 0.7031 0.7591 0.3752
23 O 0.7366 0.2518 0.0996
24 O 0.8632 0.2533 0.5019
25 O 0.9253 0.4455 0.7396
26 O 0.9386 0.0688 0.7440

Values from the calculation:
DFT formation energy = -2.32 eV per atom
VASP energy = -6.636 eV per atom
Symmetry = P2_1 (4)
Distance to the lowest polymorph of the same formula = 18.9 meV/atom

=====

[3]
A geometry-optimized MnSn3P4O16 structure. Source: the Materials Project, functional PBE+U.

Cell: 5.1482 12.2183 12.2183 Å, 118.80 89.53 90.47°
Fractional coordinates of all 48 atoms:
1 P 0.8709 0.0726 0.6774
2 O 0.3038 0.1017 0.9492
3 O 0.7024 0.6364 0.3035
4 Sn 0.5506 0.0185 0.2314
5 O 0.3252 0.0967 0.1533
6 O 0.8821 0.1439 0.6061
7 P 0.1138 0.4343 0.8156
8 Mn 0.0511 0.7384 0.0115
9 Sn 0.4502 0.4804 0.2696
10 P 0.4311 0.6662 0.5838
11 O 0.3038 0.6017 0.4492
12 O 0.1482 0.5438 0.2063
13 O 0.7215 0.1950 0.3585
14 O 0.1617 0.8641 0.3858
15 O 0.7024 0.1363 0.8035
16 O 0.2565 0.8732 0.1838
17 O 0.8162 0.9477 0.3023
18 O 0.2565 0.0662 0.3768
19 O 0.7216 0.8915 0.0550
20 O 0.7216 0.6950 0.8585
21 O 0.7236 0.6687 0.5813
22 Mn 0.0505 0.2385 0.5115
23 O 0.6717 0.3994 0.3506
24 O 0.1616 0.3642 0.8858
25 O 0.7024 0.9465 0.6137
26 O 0.8162 0.4477 0.8023
27 O 0.2927 0.8206 0.9294
28 O 0.3038 0.8008 0.6483
29 O 0.2565 0.5662 0.8768
30 P 0.1138 0.9343 0.3157
31 P 0.5839 0.3279 0.4221
32 Sn 0.4501 0.9804 0.7696
33 O 0.3038 0.3008 0.1483
34 O 0.2925 0.3206 0.4294
35 Sn 0.5506 0.5186 0.7315
36 P 0.8710 0.5726 0.1774
37 O 0.7215 0.3915 0.5550
38 O 0.7024 0.4465 0.1137
39 O 0.8823 0.6439 0.1061
40 Sn 0.9587 0.2653 0.9847
41 O 0.1482 0.0437 0.7063
42 Sn 0.9587 0.7653 0.4847
43 O 0.2564 0.3732 0.6838
44 P 0.5841 0.8279 0.9221
45 P 0.4312 0.1662 0.0838
46 O 0.7236 0.1687 0.0813
47 O 0.6719 0.8994 0.8506
48 O 0.3251 0.5967 0.6533

Values from the calculation:
DFT formation energy = -2.38 eV per atom
VASP energy = -6.940 eV per atom
Maximum piezoelectric response = 0.31 C/m2

=====

[4]
A geometry-optimized Li3Fe8B8O24 structure. Source: the Materials Project, functional PBE+U.

Cell: 5.2427 9.1046 10.2152 Å, 89.18 89.75 89.12°
Fractional coordinates of all 43 atoms:
1 Li 0.0000 0.0000 0.0000
2 Li 0.0249 0.9945 0.5011
3 Li 0.6623 0.6525 0.7395
4 Fe 0.0114 0.3299 0.4606
5 Fe 0.0125 0.6526 0.9615
6 Fe 0.1619 0.8148 0.2136
7 Fe 0.1801 0.4733 0.7080
8 Fe 0.5032 0.1671 0.9590
9 Fe 0.5109 0.8183 0.4581
10 Fe 0.6503 0.9886 0.7133
11 Fe 0.6660 0.3152 0.2130
12 B 0.0108 0.6563 0.4653
13 B 0.1664 0.4846 0.2068
14 B 0.1677 0.8136 0.7067
15 B 0.5064 0.8269 0.9573
16 B 0.5096 0.1477 0.4565
17 B 0.6603 0.9900 0.2068
18 B 0.6809 0.3271 0.7110
19 B 0.9977 0.3190 0.9625
20 O 0.0078 0.3779 0.2633
21 O 0.0286 0.9382 0.6851
22 O 0.0554 0.6108 0.1528
23 O 0.0575 0.6861 0.7604
24 O 0.0891 0.4497 0.9144
25 O 0.1385 0.5264 0.4944
26 O 0.1428 0.1920 0.9609
27 O 0.1494 0.7816 0.4269
28 O 0.2467 0.8244 0.9891
29 O 0.2512 0.1638 0.4629
30 O 0.4235 0.4644 0.2054
31 O 0.4301 0.8079 0.6699
32 O 0.5183 0.8805 0.2687
33 O 0.5312 0.1199 0.1634
34 O 0.5518 0.4567 0.7175
35 O 0.5849 0.1989 0.7689
36 O 0.6187 0.9637 0.9295
37 O 0.6345 0.0184 0.4995
38 O 0.6548 0.7034 0.9464
39 O 0.6665 0.2580 0.4068
40 O 0.7499 0.3147 0.0138
41 O 0.7518 0.6678 0.4744
42 O 0.9139 0.9759 0.1860
43 O 0.9188 0.3173 0.6488

Values from the calculation:
DFT formation energy = -2.25 eV per atom
VASP energy = -7.158 eV per atom
Symmetry = P1 (1)
Distance to the lowest polymorph of the same formula = 7.9 meV/atom

=====

[5]
A geometry-optimized MnN2F5 structure. Source: the Materials Project, functional PBE+U.

Cell: 6.2676 7.5145 11.2214 Å, 90.00 90.00 90.00°
Fractional coordinates of all 32 atoms:
1 Mn 0.0000 0.0000 0.0000
2 Mn 0.0000 0.5000 0.0000
3 Mn 0.5000 0.0000 0.5000
4 Mn 0.5000 0.5000 0.5000
5 N 0.0505 0.2500 0.2707
6 N 0.0991 0.7500 0.3614
7 N 0.4009 0.2500 0.8614
8 N 0.4495 0.7500 0.7707
9 N 0.5505 0.2500 0.2293
10 N 0.5991 0.7500 0.1386
11 N 0.9009 0.2500 0.6386
12 N 0.9495 0.7500 0.7293
13 F 0.0665 0.7500 0.9872
14 F 0.2303 0.6069 0.3321
15 F 0.2303 0.8931 0.3321
16 F 0.2386 0.0247 0.0869
17 F 0.2386 0.4753 0.0869
18 F 0.2614 0.5247 0.5869
19 F 0.2614 0.9753 0.5869
20 F 0.2697 0.1069 0.8321
21 F 0.2697 0.3931 0.8321
22 F 0.4335 0.2500 0.4872
23 F 0.5665 0.7500 0.5128
24 F 0.7303 0.6069 0.1679
25 F 0.7303 0.8931 0.1679
26 F 0.7386 0.0247 0.4131
27 F 0.7386 0.4753 0.4131
28 F 0.7614 0.5247 0.9131
29 F 0.7614 0.9753 0.9131
30 F 0.7697 0.1069 0.6679
31 F 0.7697 0.3931 0.6679
32 F 0.9335 0.2500 0.0128

Values from the calculation:
DFT formation energy = -0.58 eV per atom
VASP energy = -4.511 eV per atom
Symmetry = Pnma (62)

=====

[6]
A geometry-optimized MgV4O7F5 structure. Source: the Materials Project, functional PBE+U.

Cell: 5.1444 5.3369 7.6935 Å, 93.40 90.99 93.46°
Fractional coordinates of all 17 atoms:
1 Mg 0.0000 0.0000 0.0000
2 V 0.0495 0.3946 0.7546
3 V 0.5074 0.9582 0.2783
4 V 0.5159 0.9249 0.7512
5 V 0.9866 0.4572 0.2726
6 O 0.2361 0.1416 0.7167
7 O 0.2402 0.6854 0.3035
8 O 0.3201 0.6451 0.7218
9 O 0.3281 0.2009 0.3195
10 O 0.7434 0.6296 0.2137
11 O 0.7560 0.1746 0.8269
12 O 0.8389 0.1295 0.2148
13 F 0.1313 0.3939 0.0152
14 F 0.3793 0.9272 0.0152
15 F 0.6468 0.9221 0.5163
16 F 0.8450 0.7086 0.8417
17 F 0.9055 0.4308 0.5181

Values from the calculation:
DFT formation energy = -2.66 eV per atom
VASP energy = -6.672 eV per atom
Symmetry = P1 (1)
Distance to the lowest polymorph of the same formula = 63.6 meV/atom